Entry 1:
A plane-wave DFT calculation with GGA-PBE was carried out for an optimized crystal structure of Sr3CaAl8Si8O40.

Space group: Cm (8)

Cell: 14.203 14.203 5.418 Å, 98.59 98.59 135.67°
Fractional coordinates of all 60 atoms:
1 Sr 0.000 0.000 0.000
2 Sr 0.072 0.572 0.319
3 Sr 0.572 0.072 0.319
4 Ca 0.496 0.496 0.006
5 Al 0.036 0.786 0.658
6 Al 0.037 0.287 0.160
7 Al 0.287 0.037 0.160
8 Al 0.288 0.536 0.661
9 Al 0.536 0.288 0.661
10 Al 0.537 0.784 0.158
11 Al 0.784 0.537 0.158
12 Al 0.786 0.036 0.658
13 Si 0.109 0.230 0.638
14 Si 0.230 0.109 0.638
15 Si 0.345 0.967 0.687
16 Si 0.466 0.844 0.685
17 Si 0.605 0.725 0.630
18 Si 0.725 0.605 0.630
19 Si 0.844 0.466 0.685
20 Si 0.967 0.345 0.687
21 O 0.002 0.181 0.805
22 O 0.030 0.175 0.316
23 O 0.047 0.401 0.007
24 O 0.074 0.394 0.518
25 O 0.134 0.134 0.673
26 O 0.144 0.832 0.002
27 O 0.172 0.811 0.560
28 O 0.175 0.030 0.316
29 O 0.181 0.002 0.805
30 O 0.242 0.428 0.316
31 O 0.265 0.765 0.117
32 O 0.267 0.403 0.765
33 O 0.310 0.671 0.560
34 O 0.318 0.318 0.194
35 O 0.332 0.644 0.005
36 O 0.394 0.074 0.518
37 O 0.401 0.047 0.007
38 O 0.403 0.267 0.765
39 O 0.428 0.242 0.316
40 O 0.437 0.936 0.645
41 O 0.499 0.679 0.799
42 O 0.528 0.667 0.305
43 O 0.547 0.900 0.006
44 O 0.572 0.891 0.514
45 O 0.635 0.635 0.689
46 O 0.644 0.332 0.005
47 O 0.667 0.528 0.305
48 O 0.671 0.310 0.560
49 O 0.679 0.499 0.799
50 O 0.742 0.928 0.316
51 O 0.760 0.899 0.753
52 O 0.765 0.265 0.117
53 O 0.808 0.808 0.202
54 O 0.811 0.172 0.560
55 O 0.832 0.144 0.002
56 O 0.891 0.572 0.514
57 O 0.899 0.760 0.753
58 O 0.900 0.547 0.006
59 O 0.928 0.742 0.316
60 O 0.936 0.437 0.645


Entry 2:
A plane-wave DFT calculation with GGA-PBE was carried out for an optimized crystal structure of ZrTiNi2.

Space group: Amm2 (38)

Cell: 4.084 5.091 5.091 Å, 35.62 90.00 90.00°
Fractional coordinates of all 4 atoms:
1 Zr 0.000 0.000 0.000
2 Ti 0.500 0.718 0.718
3 Ni 0.000 0.270 0.270
4 Ni 0.500 0.435 0.435


Entry 3:
A plane-wave DFT calculation with GGA-PBE was carried out for an optimized crystal structure of Mg6AlSnO8.

E above lowest polymorph: 0.075 eV per atom
Space group: P4/mmm (123)

Cell: 4.455 4.455 8.942 Å, 90.00 90.00 90.00°
Fractional coordinates of all 16 atoms:
1 Mg 0.000 0.000 0.000
2 Mg 0.000 0.500 0.235
3 Mg 0.000 0.500 0.765
4 Mg 0.500 0.000 0.235
5 Mg 0.500 0.000 0.765
6 Mg 0.500 0.500 0.000
7 Al 0.000 0.000 0.500
8 Sn 0.500 0.500 0.500
9 O 0.000 0.000 0.241
10 O 0.000 0.000 0.759
11 O 0.000 0.500 0.000
12 O 0.000 0.500 0.500
13 O 0.500 0.000 0.000
14 O 0.500 0.000 0.500
15 O 0.500 0.500 0.226
16 O 0.500 0.500 0.774


Entry 4:
A plane-wave DFT calculation with GGA-PBE was carried out for an optimized crystal structure of ThAl3.

Space group: P6_3/mmc (194)

Cell: 6.518 6.518 4.639 Å, 90.00 90.00 120.00°
Fractional coordinates of all 8 atoms:
1 Th 0.333 0.667 0.250
2 Th 0.667 0.333 0.750
3 Al 0.141 0.281 0.750
4 Al 0.141 0.859 0.750
5 Al 0.281 0.141 0.250
6 Al 0.719 0.859 0.750
7 Al 0.859 0.141 0.250
8 Al 0.859 0.719 0.250


no.,density (Mg/m³),V (Å³/f.u.),calculated formation energy (eV/atom)
1,3.28,701.3,-2.7180
2,6.91,61.6,-0.3866
3,3.92,177.5,-2.4691
4,6.09,85.3,-0.4019